No. 1
The following is a PBE-GGA calculation of a relaxed structure of BaScZn3GaO7, from the Materials Project database.

Cell: 6.2859 6.2859 10.2087 Å, 90.00 90.00 120.00°
Fractional coordinates of all 26 atoms:
Ba1 0.6667 0.3333 0.9987
Ba2 0.3333 0.6667 0.4987
Sc1 0.6667 0.3333 0.6321
Sc2 0.3333 0.6667 0.1321
Zn1 0.1731 0.8269 0.8126
Zn2 0.6538 0.8269 0.8126
Zn3 0.1731 0.3462 0.8126
Zn4 0.8269 0.1731 0.3126
Zn5 0.3462 0.1731 0.3126
Zn6 0.8269 0.6538 0.3126
Ga1 0.0000 0.0000 0.0636
Ga2 0.0000 0.0000 0.5636
O1 0.5077 0.4923 0.7451
O2 0.9847 0.4923 0.7451
O3 0.5077 0.0153 0.7451
O4 0.4923 0.5077 0.2451
O5 0.0153 0.5077 0.2451
O6 0.4923 0.9847 0.2451
O7 0.0000 0.0000 0.2474
O8 0.0000 0.0000 0.7474
O9 0.1644 0.8356 0.0073
O10 0.6713 0.8356 0.0073
O11 0.1644 0.3287 0.0073
O12 0.8356 0.1644 0.5073
O13 0.3287 0.1644 0.5073
O14 0.8356 0.6713 0.5073

No. 2
The following is a PBE-GGA calculation of a relaxed structure of BaH4O6, from the Materials Project database.

Cell: 6.1325 6.1325 6.3844 Å, 86.91 86.91 93.90°
Fractional coordinates of all 22 atoms:
Ba1 0.1840 0.8160 0.7500
Ba2 0.8160 0.1840 0.2500
H1 0.0190 0.6544 0.2756
H2 0.3456 0.9810 0.2244
H3 0.9810 0.3456 0.7244
H4 0.6544 0.0190 0.7756
H5 0.6499 0.7223 0.0754
H6 0.2777 0.3501 0.4246
H7 0.3501 0.2777 0.9246
H8 0.7223 0.6499 0.5754
O1 0.9528 0.7622 0.1487
O2 0.2378 0.0472 0.3513
O3 0.0472 0.2378 0.8513
O4 0.7622 0.9528 0.6487
O5 0.7741 0.6184 0.0722
O6 0.3816 0.2259 0.4278
O7 0.2259 0.3816 0.9278
O8 0.6184 0.7741 0.5722
O9 0.9029 0.4709 0.5747
O10 0.5291 0.0971 0.9253
O11 0.0971 0.5291 0.4253
O12 0.4709 0.9029 0.0747

Output
The calculation puts the energy above the most stable polymorph in this dataset at 338.3 kJ/mol of formula units.

Which ΔH_f (0 K) belongs to each record? In order, -2525; -1040 meV/atom.
Which raw total energy belongs to each record? In order, -5.98; -5.06 eV per atom.